# 1
This record from Materials Project describes a relaxed structure of Rb2GeF6. The functional is r2SCAN.

Calculated values
ΔH_f (0 K) = -2.97 eV/atom
symmetry = P6_3mc (186)
polymorph energy (0 for the lowest one) = 0.002 eV/atom
total DFT energy (no corrections) = -87.2 eV/f.u.
crystal system = hexagonal

POSCAR file:
```
Rb2GeF6
1.0
5.8963 0.0000 0.0000
-2.9481 5.1064 0.0000
0.0000 0.0000 9.5735
Ge F Rb
2 12 4
Direct
0.3333 0.6667 0.2570
0.6667 0.3333 0.7570
0.8142 0.1858 0.8619
0.0451 0.5226 0.1459
0.3717 0.1858 0.8619
0.1858 0.3717 0.3619
0.1858 0.8142 0.3619
0.5226 0.0451 0.6459
0.5226 0.4774 0.6459
0.9549 0.4774 0.6459
0.4774 0.5226 0.1459
0.6283 0.8142 0.3619
0.8142 0.6283 0.8619
0.4774 0.9549 0.1459
0.3333 0.6667 0.8738
0.0000 0.0000 0.0958
0.6667 0.3333 0.3738
0.0000 0.0000 0.5958
```

# 2
This record from Materials Project describes a relaxed structure of As2O3. The functional is r2SCAN.

Calculated values
ΔH_f (0 K) = -1.28 eV/atom
symmetry = P2_1/c (14)
total DFT energy (no corrections) = -53.7 eV/f.u.
crystal system = monoclinic

POSCAR file:
```
As2O3
1.0
-3.1815 -3.1944 -0.6771
2.4050 -2.6243 4.0461
-7.8254 5.9850 8.5333
O As
12 8
Direct
0.5664 0.9355 0.7174
0.9336 0.5645 0.2174
0.1329 0.9583 0.8586
0.6329 0.4583 0.6414
0.4336 0.0645 0.2826
0.3671 0.5417 0.3586
0.8671 0.0417 0.1414
0.1538 0.6595 0.6023
0.8462 0.3405 0.3977
0.6538 0.1595 0.8977
0.0664 0.4355 0.7826
0.3462 0.8405 0.1023
0.5005 0.1402 0.1496
0.5385 0.7618 0.6009
0.4615 0.2382 0.3991
0.9615 0.7382 0.1009
0.9995 0.3598 0.6496
0.0385 0.2618 0.8991
0.0005 0.6402 0.3504
0.4995 0.8598 0.8504
```

# 3
This record from Materials Project describes a relaxed structure of Na2SnSe3. The functional is r2SCAN.

Calculated values
ΔH_f (0 K) = -0.93 eV/atom
symmetry = P2_1/c (14)
total DFT energy (no corrections) = -80.4 eV/f.u.
crystal system = monoclinic

POSCAR file:
```
Na2SnSe3
1.0
16.2689 0.0000 0.0000
0.0000 6.1918 0.0089
0.0000 2.8215 6.7088
Na Se Sn
8 12 4
Direct
0.9736 0.3256 0.7649
0.1659 0.9870 0.5501
0.6659 0.5130 0.4499
0.8341 0.0130 0.4499
0.4736 0.1744 0.2351
0.0264 0.6744 0.2351
0.3341 0.4870 0.5501
0.5264 0.8256 0.7649
0.8183 0.2441 0.9861
0.6442 0.0343 0.4086
0.6817 0.7441 0.9861
0.8558 0.5343 0.4086
0.3183 0.2559 0.0139
0.0541 0.1771 0.1965
0.1817 0.7559 0.0139
0.5541 0.3229 0.8035
0.1442 0.4657 0.5914
0.4459 0.6771 0.1965
0.9459 0.8229 0.8035
0.3558 0.9657 0.5914
0.8342 0.6285 0.0451
0.3342 0.8715 0.9549
0.1658 0.3715 0.9549
0.6658 0.1285 0.0451
```

# 4
This record from Materials Project describes a relaxed structure of Ca3Al2P4. The functional is r2SCAN.

Calculated values
ΔH_f (0 K) = -1.18 eV/atom
symmetry = C2/c (15)
total DFT energy (no corrections) = -81.2 eV/f.u.
crystal system = monoclinic

POSCAR file:
```
Ca3Al2P4
1.0
4.9125 6.3260 -0.0065
-4.9125 6.3260 -0.0065
0.0000 0.0509 6.4553
P Ca Al
8 6 4
Direct
0.4295 0.2581 0.9359
0.7139 0.0580 0.4763
0.2581 0.4295 0.4359
0.9420 0.2861 0.0237
0.5705 0.7419 0.0641
0.7419 0.5705 0.5641
0.0580 0.7139 0.9763
0.2861 0.9420 0.5237
0.0083 0.7505 0.4706
0.2495 0.9917 0.0294
0.5989 0.4011 0.2500
0.7505 0.0083 0.9706
0.9917 0.2495 0.5294
0.4011 0.5989 0.7500
0.8277 0.5797 0.9109
0.5797 0.8277 0.4109
0.1723 0.4203 0.0891
0.4203 0.1723 0.5891
```

# 5
This record from Materials Project describes a relaxed structure of LuCoC. The functional is r2SCAN.

Calculated values
ΔH_f (0 K) = -0.41 eV/atom
symmetry = P4_2/mmc (131)
total DFT energy (no corrections) = -62.5 eV/f.u.
crystal system = tetragonal

POSCAR file:
```
LuCoC
1.0
-1.1724 -2.1045 -2.6622
-2.0076 -1.8410 2.3394
-5.0132 4.1268 -1.0546
Lu Co C
2 2 2
Direct
0.0000 0.0000 0.2500
0.0000 0.0000 0.7500
0.5000 0.5000 0.5000
0.5000 0.5000 0.0000
0.0000 0.5000 0.0000
0.5000 0.0000 0.5000
```

# 6
This record from Materials Project describes a relaxed structure of Rh2O3. The functional is r2SCAN.

Calculated values
ΔH_f (0 K) = -0.91 eV/atom
symmetry = Pbcn (60)
total DFT energy (no corrections) = -70.7 eV/f.u.
crystal system = orthorhombic

POSCAR file:
```
Rh2O3
1.0
5.1884 0.0000 0.0000
0.0000 5.3904 0.0000
0.0000 0.0000 7.2739
Rh O
8 12
Direct
0.2503 0.9693 0.8935
0.2497 0.4693 0.6065
0.7497 0.4693 0.8935
0.2503 0.5307 0.1065
0.7503 0.9693 0.6065
0.7497 0.0307 0.1065
0.7503 0.5307 0.3935
0.2497 0.0307 0.3935
0.8936 0.8875 0.3487
0.8936 0.6125 0.6513
0.3936 0.8875 0.1513
0.1064 0.1125 0.6513
0.3936 0.6125 0.8487
0.1064 0.3875 0.3487
0.6064 0.1125 0.8487
0.5510 0.2500 0.5000
0.6064 0.3875 0.1513
0.0510 0.2500 0.0000
0.4490 0.7500 0.5000
0.9490 0.7500 0.0000
```

# 7
This record from Materials Project describes a relaxed structure of BaNaB9O15. The functional is r2SCAN.

Calculated values
ΔH_f (0 K) = -2.70 eV/atom
symmetry = R3c (161)
total DFT energy (no corrections) = -256.0 eV/f.u.
crystal system = trigonal

POSCAR file:
```
BaNaB9O15
1.0
-5.6816 -4.9194 -4.2814
-3.3301 -4.5525 6.5572
-7.2702 4.4635 1.4262
O B Na Ba
30 18 2 2
Direct
0.1856 0.6829 0.9514
0.9029 0.7153 0.5387
0.9514 0.1856 0.6829
0.7337 0.7158 0.0713
0.9923 0.7499 0.2619
0.3619 0.7264 0.7065
0.2153 0.4029 0.0387
0.0713 0.7337 0.7158
0.2158 0.2337 0.5713
0.8619 0.2065 0.2264
0.6829 0.9514 0.1856
0.2337 0.5713 0.2158
0.4029 0.0387 0.2153
0.2499 0.4923 0.7619
0.2065 0.2264 0.8619
0.7264 0.7065 0.3619
0.7619 0.2499 0.4923
0.5713 0.2158 0.2337
0.7499 0.2619 0.9923
0.4514 0.1829 0.6856
0.5387 0.9029 0.7153
0.1829 0.6856 0.4514
0.7153 0.5387 0.9029
0.2619 0.9923 0.7499
0.2264 0.8619 0.2065
0.7158 0.0713 0.7337
0.7065 0.3619 0.7264
0.4923 0.7619 0.2499
0.6856 0.4514 0.1829
0.0387 0.2153 0.4029
0.2111 0.5575 0.0675
0.1608 0.7164 0.2838
0.5575 0.0675 0.2111
0.6608 0.7838 0.2164
0.0675 0.2111 0.5575
0.3732 0.8843 0.2235
0.2235 0.3732 0.8843
0.2838 0.1608 0.7164
0.5675 0.0575 0.7111
0.2164 0.6608 0.7838
0.7235 0.3843 0.8732
0.7838 0.2164 0.6608
0.7111 0.5675 0.0575
0.0575 0.7111 0.5675
0.7164 0.2838 0.1608
0.8732 0.7235 0.3843
0.3843 0.8732 0.7235
0.8843 0.2235 0.3732
0.7797 0.7797 0.7797
0.2797 0.2797 0.2797
0.9977 0.9977 0.9977
0.4977 0.4977 0.4977
```

# 8
This record from Materials Project describes a relaxed structure of CoCuS4. The functional is r2SCAN.

Calculated values
ΔH_f (0 K) = -0.31 eV/atom
symmetry = P2_1/c (14)
total DFT energy (no corrections) = -58.1 eV/f.u.
crystal system = monoclinic

POSCAR file:
```
CoCuS4
1.0
-0.5904 3.6560 4.1748
-4.9880 -2.1974 1.2189
2.4276 -3.7563 3.6327
S Cu Co
8 2 2
Direct
0.8853 0.8845 0.5913
0.9016 0.5999 0.1122
0.5984 0.0999 0.1122
0.3853 0.6155 0.4087
0.1147 0.1155 0.4087
0.0984 0.4001 0.8878
0.6147 0.3845 0.5913
0.4016 0.9001 0.8878
0.0000 0.0000 0.0000
0.5000 0.5000 0.0000
0.5000 0.0000 0.5000
0.0000 0.5000 0.5000
```

Repeat the fourth record exactly.
This record from Materials Project describes a relaxed structure of Ca3Al2P4. The functional is r2SCAN.

Calculated values
ΔH_f (0 K) = -1.18 eV/atom
symmetry = C2/c (15)
total DFT energy (no corrections) = -81.2 eV/f.u.
crystal system = monoclinic

POSCAR file:
```
Ca3Al2P4
1.0
4.9125 6.3260 -0.0065
-4.9125 6.3260 -0.0065
0.0000 0.0509 6.4553
P Ca Al
8 6 4
Direct
0.4295 0.2581 0.9359
0.7139 0.0580 0.4763
0.2581 0.4295 0.4359
0.9420 0.2861 0.0237
0.5705 0.7419 0.0641
0.7419 0.5705 0.5641
0.0580 0.7139 0.9763
0.2861 0.9420 0.5237
0.0083 0.7505 0.4706
0.2495 0.9917 0.0294
0.5989 0.4011 0.2500
0.7505 0.0083 0.9706
0.9917 0.2495 0.5294
0.4011 0.5989 0.7500
0.8277 0.5797 0.9109
0.5797 0.8277 0.4109
0.1723 0.4203 0.0891
0.4203 0.1723 0.5891
```